Compound: SrEuSi4
Source: the Materials Project
Functional: PBE
Structure: relaxed

Geometry as extended XYZ:
```
6
Lattice="-2.186 2.186 6.959 2.186 -2.186 6.959 2.186 2.186 -6.959" Properties=species:S:1:pos:R:3 pbc="T T T"
Sr 0.000 0.000 0.000
Si 0.000 2.186 4.634
Si 0.000 0.000 8.144
Eu 2.186 0.000 3.480
Si 0.000 2.186 2.326
Si 0.000 0.000 5.774
```

Properties
Symmetry ... I-4m2, No. 119
Raw total energy ... -0.4441 Ry/atom
Energy with MP2020 corrections ... -5.99 eV/atom

Compound: KGd2CuS4
Source: the Materials Project
Functional: PBE
Structure: relaxed

Geometry as extended XYZ:
```
16
Lattice="2.000 -6.834 0.000 2.000 6.834 0.000 0.000 0.000 13.812" Properties=species:S:1:pos:R:3 pbc="T T T"
Cu 2.000 2.227 10.359
Gd 2.000 5.001 0.859
S 2.000 -5.870 10.359
S 2.000 -3.583 5.359
S 2.000 0.000 0.000
S 2.000 3.583 12.265
Cu 2.000 -2.227 3.453
S 2.000 -3.583 1.547
K 2.000 -1.482 10.359
Gd 2.000 -5.001 7.765
S 2.000 5.870 3.453
K 2.000 1.482 3.453
Gd 2.000 5.001 6.047
S 2.000 0.000 6.906
S 2.000 3.583 8.453
Gd 2.000 -5.001 12.953
```

Properties
Symmetry ... Cmcm, No. 63
Raw total energy ... -0.5809 Ry/atom
Energy with MP2020 corrections ... -8.16 eV/atom
Total magnetic moment ... 14.002 μB per formula unit

Compound: CoAsPd
Source: the Materials Project
Functional: PBE
Structure: relaxed

Geometry as extended XYZ:
```
6
Lattice="-1.401 1.412 3.156 -0.590 -3.453 1.283 5.762 -0.030 2.571" Properties=species:S:1:pos:R:3 pbc="T T T"
Pd -0.996 -1.021 2.220
As 1.335 -1.735 1.369
Co 3.359 -1.746 2.272
As 3.431 0.685 3.422
Pd 0.000 0.000 0.000
Co 1.407 0.695 2.519
```

Properties
Symmetry ... P4/nmm, No. 129
Raw total energy ... -0.4173 Ry/atom
Total magnetic moment ... 0.000 μB per formula unit

Compound: Mg14FeBi
Source: the Materials Project
Functional: PBE
Structure: relaxed

Geometry as extended XYZ:
```
16
Lattice="-3.396 -4.927 -1.942 3.955 -0.622 4.853 -7.629 2.672 6.561" Properties=species:S:1:pos:R:3 pbc="T T T"
Bi -4.016 0.641 5.394
Mg 1.785 -0.974 4.538
Mg -3.730 -2.129 6.856
Mg -5.367 0.376 8.431
Mg -3.121 -0.779 2.513
Fe -0.201 -0.695 2.114
Mg -3.071 -3.513 4.091
Mg -7.277 0.676 6.087
Mg -1.886 -3.177 1.167
Mg -6.852 -2.189 7.343
Mg 0.056 -3.483 3.549
Mg -1.211 -1.080 4.857
Mg -5.718 -1.817 4.416
Mg -9.033 -1.871 5.083
Mg -4.877 -3.327 1.509
Mg -2.041 0.321 7.822
```

Properties
Symmetry ... P-6m2, No. 187
Raw total energy ... -0.1529 Ry/atom
Total magnetic moment ... 0.026 μB per formula unit

Compound: GdP2Ru2
Source: the Materials Project
Functional: PBE
Structure: relaxed

Geometry as extended XYZ:
```
5
Lattice="2.023 -4.254 3.074 -2.917 -1.673 4.509 -1.006 1.092 -5.426" Properties=species:S:1:pos:R:3 pbc="T T T"
P -0.334 -2.213 2.832
Ru 0.285 -3.063 0.720
P -0.560 -3.714 4.752
Gd 0.000 0.000 0.000
Ru -2.185 -1.772 1.438
```

Properties
Symmetry ... I4/mmm, No. 139
Raw total energy ... -0.7148 Ry/atom

Compound: Te2Mo3WSe6
Source: the Materials Project
Functional: PBE
Structure: relaxed

Geometry as extended XYZ:
```
12
Lattice="1.690 -2.927 0.000 1.690 2.927 0.000 0.000 0.000 38.508" Properties=species:S:1:pos:R:3 pbc="T T T"
Te 0.000 0.000 12.733
Se 0.000 0.000 23.664
Se 1.690 0.976 16.425
Te 0.000 0.000 8.970
Mo 1.690 0.976 25.320
Se 0.000 0.000 26.975
Se 1.690 0.976 5.273
Mo 1.690 0.976 10.851
W 0.000 0.000 18.086
Mo 0.000 0.000 3.616
Se 1.690 0.976 19.747
Se 1.690 0.976 1.961
```

Properties
Symmetry ... P3m1, No. 156
Raw total energy ... -0.4840 Ry/atom
Energy with MP2020 corrections ... -6.82 eV/atom
Total magnetic moment ... 0.000 μB per formula unit